Here is an optimized crystal structure of LiBH8N2 from the Materials Project. Energies are from GGA-PBE. Values from VASP.

Geometry as Quantum ESPRESSO input:
```
&SYSTEM
  ibrav = 0, nat = 48, ntyp = 4
/
ATOMIC_SPECIES
Li 6.94 Li.upf
B 10.81 B.upf
H 1.01 H.upf
N 14.01 N.upf
CELL_PARAMETERS angstrom
6.0395 -3.4087 0.0000
6.0395 3.4087 0.0000
-2.8007 0.0000 10.0699
ATOMIC_POSITIONS crystal
Li 0.1041 0.8959 0.5000
Li 0.6092 0.8862 0.4888
Li 0.8862 0.6092 0.9888
Li 0.8959 0.1041 0.0000
B 0.0077 0.6134 0.5314
B 0.3550 0.7592 0.3287
B 0.6134 0.0077 0.0314
B 0.7592 0.3550 0.8287
H 0.0396 0.2110 0.2544
H 0.0555 0.5349 0.2476
H 0.0991 0.4735 0.6089
H 0.1011 0.6252 0.8217
H 0.1476 0.5863 0.4653
H 0.1501 0.8982 0.3224
H 0.1973 0.3290 0.1358
H 0.2110 0.0396 0.7544
H 0.2538 0.7608 0.0846
H 0.3031 0.4500 0.9214
H 0.3290 0.1973 0.6358
H 0.3374 0.7706 0.9540
H 0.3841 0.5895 0.2485
H 0.4121 0.7860 0.7028
H 0.4300 0.7019 0.4407
H 0.4500 0.3031 0.4214
H 0.4536 0.8470 0.3024
H 0.4735 0.0991 0.1089
H 0.5349 0.0555 0.7476
H 0.5844 0.8582 0.9545
H 0.5863 0.1476 0.9653
H 0.5895 0.3841 0.7485
H 0.6252 0.1011 0.3217
H 0.7019 0.4300 0.9407
H 0.7608 0.2538 0.5846
H 0.7706 0.3374 0.4540
H 0.7860 0.4121 0.2028
H 0.8049 0.9272 0.0957
H 0.8470 0.4536 0.8024
H 0.8582 0.5844 0.4545
H 0.8982 0.1501 0.8224
H 0.9272 0.8049 0.5957
N 0.0355 0.4405 0.1588
N 0.1541 0.6028 0.9198
N 0.2005 0.7865 0.9868
N 0.3019 0.9449 0.6760
N 0.4405 0.0355 0.6588
N 0.6028 0.1541 0.4198
N 0.7865 0.2005 0.4868
N 0.9449 0.3019 0.1760
```

Output
As for the crystal system: monoclinic. The mass density is 0.86 g cm⁻³.

Here is an optimized crystal structure of LiBH6N from the Materials Project. Energies are from GGA-PBE. Values from VASP.

Geometry as Quantum ESPRESSO input:
```
&SYSTEM
  ibrav = 0, nat = 72, ntyp = 4
/
ATOMIC_SPECIES
Li 6.94 Li.upf
B 10.81 B.upf
H 1.01 H.upf
N 14.01 N.upf
CELL_PARAMETERS angstrom
6.7700 0.0000 0.0000
0.0000 7.6050 0.0000
0.0000 0.0000 12.0785
ATOMIC_POSITIONS crystal
Li 0.2386 0.0603 0.2388
Li 0.2467 0.5485 0.2508
Li 0.2533 0.4515 0.7508
Li 0.2614 0.9397 0.7388
Li 0.7386 0.4397 0.7612
Li 0.7467 0.9515 0.7492
Li 0.7533 0.0485 0.2492
Li 0.7614 0.5603 0.2612
B 0.0123 0.9695 0.8895
B 0.0129 0.8109 0.2723
B 0.4871 0.1891 0.7723
B 0.4877 0.0305 0.3895
B 0.5123 0.5305 0.1105
B 0.5129 0.6891 0.7277
B 0.9871 0.3109 0.2277
B 0.9877 0.4695 0.6105
H 0.0006 0.5592 0.6952
H 0.0164 0.6871 0.3369
H 0.0168 0.9462 0.3281
H 0.0276 0.0667 0.9694
H 0.0904 0.1230 0.6018
H 0.1003 0.2938 0.9136
H 0.1356 0.3068 0.2860
H 0.1372 0.3789 0.5996
H 0.1564 0.8054 0.2105
H 0.1564 0.8714 0.8845
H 0.1588 0.9682 0.5167
H 0.1854 0.4758 0.9698
H 0.3146 0.5242 0.4698
H 0.3412 0.0318 0.0167
H 0.3436 0.1286 0.3845
H 0.3436 0.1946 0.7105
H 0.3628 0.6211 0.0996
H 0.3644 0.6932 0.7860
H 0.3997 0.7062 0.4136
H 0.4096 0.8770 0.1018
H 0.4724 0.9333 0.4694
H 0.4832 0.0538 0.8281
H 0.4836 0.3129 0.8369
H 0.4994 0.4408 0.1952
H 0.5006 0.9408 0.3048
H 0.5164 0.8129 0.6631
H 0.5168 0.5538 0.6719
H 0.5276 0.4333 0.0306
H 0.5904 0.3770 0.3982
H 0.6003 0.2062 0.0864
H 0.6356 0.1932 0.7140
H 0.6372 0.1211 0.4004
H 0.6564 0.6286 0.1155
H 0.6564 0.6946 0.7895
H 0.6588 0.5318 0.4833
H 0.6854 0.0242 0.0302
H 0.8146 0.9758 0.5302
H 0.8412 0.4682 0.9833
H 0.8436 0.3054 0.2895
H 0.8436 0.3714 0.6155
H 0.8628 0.8789 0.9004
H 0.8644 0.8068 0.2140
H 0.8997 0.7938 0.5864
H 0.9096 0.6230 0.8982
H 0.9724 0.5667 0.5306
H 0.9832 0.4462 0.1719
H 0.9836 0.1871 0.1631
H 0.9994 0.0592 0.8048
N 0.0963 0.9891 0.5935
N 0.1068 0.4276 0.9035
N 0.3932 0.5724 0.4035
N 0.4037 0.0109 0.0935
N 0.5963 0.5109 0.4065
N 0.6068 0.0724 0.0965
N 0.8932 0.9276 0.5965
N 0.9037 0.4891 0.9065
```

Output
As for the crystal system: orthorhombic. The mass density is 0.81 g cm⁻³.

Here is an optimized crystal structure of Li2B2H9N from the Materials Project. Energies are from GGA-PBE. Values from VASP.

Geometry as Quantum ESPRESSO input:
```
&SYSTEM
  ibrav = 0, nat = 112, ntyp = 4
/
ATOMIC_SPECIES
Li 6.94 Li.upf
B 10.81 B.upf
H 1.01 H.upf
N 14.01 N.upf
CELL_PARAMETERS angstrom
7.5482 0.0000 0.0000
0.0000 9.1865 0.0000
0.0000 0.0000 13.8999
ATOMIC_POSITIONS crystal
Li 0.0980 0.1425 0.0500
Li 0.0980 0.3575 0.5500
Li 0.1297 0.7046 0.7192
Li 0.1297 0.7954 0.2192
Li 0.3703 0.2046 0.7192
Li 0.3703 0.2954 0.2192
Li 0.4020 0.6425 0.0500
Li 0.4020 0.8575 0.5500
Li 0.5980 0.1425 0.4500
Li 0.5980 0.3575 0.9500
Li 0.6297 0.7046 0.7808
Li 0.6297 0.7954 0.2808
Li 0.8703 0.2046 0.7808
Li 0.8703 0.2954 0.2808
Li 0.9020 0.6425 0.4500
Li 0.9020 0.8575 0.9500
B 0.1146 0.1276 0.2269
B 0.1146 0.3724 0.7269
B 0.1836 0.6654 0.5243
B 0.1836 0.8346 0.0243
B 0.3164 0.1654 0.5243
B 0.3164 0.3346 0.0243
B 0.3854 0.6276 0.2269
B 0.3854 0.8724 0.7269
B 0.6146 0.1276 0.2731
B 0.6146 0.3724 0.7731
B 0.6836 0.6654 0.9757
B 0.6836 0.8346 0.4757
B 0.8164 0.1654 0.9757
B 0.8164 0.3346 0.4757
B 0.8854 0.6276 0.2731
B 0.8854 0.8724 0.7731
H 0.0075 0.5154 0.8327
H 0.0075 0.9846 0.3327
H 0.0213 0.6367 0.3225
H 0.0213 0.8633 0.8225
H 0.0525 0.6870 0.5750
H 0.0525 0.8130 0.0750
H 0.1261 0.2434 0.2737
H 0.1261 0.2566 0.7737
H 0.1621 0.5562 0.4741
H 0.1621 0.9438 0.9741
H 0.1853 0.1461 0.5740
H 0.1853 0.3539 0.0740
H 0.2010 0.7301 0.9699
H 0.2010 0.7699 0.4699
H 0.2213 0.5095 0.8337
H 0.2213 0.9905 0.3337
H 0.2423 0.1252 0.1705
H 0.2423 0.3748 0.6705
H 0.2577 0.6252 0.1705
H 0.2577 0.8748 0.6705
H 0.2787 0.0095 0.8337
H 0.2787 0.4905 0.3337
H 0.2990 0.2301 0.9699
H 0.2990 0.2699 0.4699
H 0.3147 0.6461 0.5740
H 0.3147 0.8539 0.0740
H 0.3379 0.0562 0.4741
H 0.3379 0.4438 0.9741
H 0.3739 0.7434 0.2737
H 0.3739 0.7566 0.7737
H 0.4475 0.1870 0.5750
H 0.4475 0.3130 0.0750
H 0.4787 0.1367 0.3225
H 0.4787 0.3633 0.8225
H 0.4925 0.0154 0.8327
H 0.4925 0.4846 0.3327
H 0.5075 0.5154 0.6673
H 0.5075 0.9846 0.1673
H 0.5213 0.6367 0.1775
H 0.5213 0.8633 0.6775
H 0.5525 0.6870 0.9250
H 0.5525 0.8130 0.4250
H 0.6261 0.2434 0.2263
H 0.6261 0.2566 0.7263
H 0.6621 0.5562 0.0259
H 0.6621 0.9438 0.5259
H 0.6853 0.1461 0.9260
H 0.6853 0.3539 0.4260
H 0.7010 0.7301 0.5301
H 0.7010 0.7699 0.0301
H 0.7213 0.5095 0.6663
H 0.7213 0.9905 0.1663
H 0.7423 0.1252 0.3295
H 0.7423 0.3748 0.8295
H 0.7577 0.6252 0.3295
H 0.7577 0.8748 0.8295
H 0.7787 0.0095 0.6663
H 0.7787 0.4905 0.1663
H 0.7990 0.2301 0.5301
H 0.7990 0.2699 0.0301
H 0.8147 0.6461 0.9260
H 0.8147 0.8539 0.4260
H 0.8379 0.0562 0.0259
H 0.8379 0.4438 0.5259
H 0.8739 0.7434 0.2263
H 0.8739 0.7566 0.7263
H 0.9475 0.1870 0.9250
H 0.9475 0.3130 0.4250
H 0.9787 0.1367 0.1775
H 0.9787 0.3633 0.6775
H 0.9925 0.0154 0.6673
H 0.9925 0.4846 0.1673
N 0.1156 0.5119 0.7879
N 0.1156 0.9881 0.2879
N 0.3844 0.0119 0.7879
N 0.3844 0.4881 0.2879
N 0.6156 0.5119 0.7121
N 0.6156 0.9881 0.2121
N 0.8844 0.0119 0.7121
N 0.8844 0.4881 0.2121
```

Output
As for the crystal system: orthorhombic. The mass density is 0.81 g cm⁻³.

Here is an optimized crystal structure of Li2BH6N from the Materials Project. Energies are from GGA-PBE. Values from VASP.

Geometry as Quantum ESPRESSO input:
```
&SYSTEM
  ibrav = 0, nat = 60, ntyp = 4
/
ATOMIC_SPECIES
Li 6.94 Li.upf
B 10.81 B.upf
H 1.01 H.upf
N 14.01 N.upf
CELL_PARAMETERS angstrom
7.2131 4.1645 3.0334
-7.2131 4.1645 3.0334
0.0000 -8.3290 3.0334
ATOMIC_POSITIONS crystal
Li 0.0709 0.8855 0.8026
Li 0.0757 0.5572 0.7231
Li 0.1145 0.1974 0.9291
Li 0.1974 0.9291 0.1145
Li 0.2769 0.9243 0.4428
Li 0.4428 0.2769 0.9243
Li 0.5572 0.7231 0.0757
Li 0.7231 0.0757 0.5572
Li 0.8026 0.0709 0.8855
Li 0.8855 0.8026 0.0709
Li 0.9243 0.4428 0.2769
Li 0.9291 0.1145 0.1974
B 0.1496 0.7466 0.5785
B 0.2534 0.4215 0.8504
B 0.4215 0.8504 0.2534
B 0.5785 0.1496 0.7466
B 0.7466 0.5785 0.1496
B 0.8504 0.2534 0.4215
H 0.0062 0.3875 0.0598
H 0.0097 0.3528 0.4692
H 0.0598 0.0062 0.3875
H 0.1020 0.3917 0.8341
H 0.1556 0.3777 0.2114
H 0.1659 0.8980 0.6083
H 0.1882 0.6857 0.4596
H 0.2114 0.1556 0.3777
H 0.2389 0.2803 0.7457
H 0.2543 0.7611 0.7197
H 0.2803 0.7457 0.2389
H 0.3143 0.5404 0.8118
H 0.3528 0.4692 0.0097
H 0.3777 0.2114 0.1556
H 0.3875 0.0598 0.0062
H 0.3917 0.8341 0.1020
H 0.4596 0.1882 0.6857
H 0.4692 0.0097 0.3528
H 0.5308 0.9903 0.6472
H 0.5404 0.8118 0.3143
H 0.6083 0.1659 0.8980
H 0.6125 0.9402 0.9938
H 0.6223 0.7886 0.8444
H 0.6472 0.5308 0.9903
H 0.6857 0.4596 0.1882
H 0.7197 0.2543 0.7611
H 0.7457 0.2389 0.2803
H 0.7611 0.7197 0.2543
H 0.7886 0.8444 0.6223
H 0.8118 0.3143 0.5404
H 0.8341 0.1020 0.3917
H 0.8444 0.6223 0.7886
H 0.8980 0.6083 0.1659
H 0.9402 0.9938 0.6125
H 0.9903 0.6472 0.5308
H 0.9938 0.6125 0.9402
N 0.0206 0.3050 0.1163
N 0.1163 0.0206 0.3050
N 0.3050 0.1163 0.0206
N 0.6950 0.8837 0.9794
N 0.8837 0.9794 0.6950
N 0.9794 0.6950 0.8837
```

Output
As for the crystal system: trigonal. The mass density is 0.82 g cm⁻³.

| no. | VASP energy (eV/f.u.) |
| --- | --- |
| 1 | -55.281 |
| 2 | -39.729 |
| 3 | -61.188 |
| 4 | -43.258 |